Record 1
First-principles (PBE) data for an optimized crystal structure of Be3Tl2Zn2F12, as listed in the Materials Project database.

Lattice parameters (Å, degrees): 10.2247 10.2247 10.2247 90.00 90.00 90.00
Element x y z (fractional)
Be 0.0196 0.2153 0.3759
Be 0.1241 0.9804 0.7153
Be 0.2153 0.3759 0.0196
Be 0.2847 0.6241 0.5196
Be 0.3759 0.0196 0.2153
Be 0.4804 0.7847 0.8759
Be 0.5196 0.2847 0.6241
Be 0.6241 0.5196 0.2847
Be 0.7153 0.1241 0.9804
Be 0.7847 0.8759 0.4804
Be 0.8759 0.4804 0.7847
Be 0.9804 0.7153 0.1241
Tl 0.0489 0.0489 0.0489
Tl 0.1833 0.3167 0.6833
Tl 0.3167 0.6833 0.1833
Tl 0.4511 0.9511 0.5489
Tl 0.5489 0.4511 0.9511
Tl 0.6833 0.1833 0.3167
Tl 0.8167 0.8167 0.8167
Tl 0.9511 0.5489 0.4511
Zn 0.0980 0.9020 0.4020
Zn 0.1653 0.6653 0.8347
Zn 0.3347 0.3347 0.3347
Zn 0.4020 0.0980 0.9020
Zn 0.5980 0.5980 0.5980
Zn 0.6653 0.8347 0.1653
Zn 0.8347 0.1653 0.6653
Zn 0.9020 0.4020 0.0980
F 0.0041 0.5622 0.7668
F 0.0126 0.0691 0.3298
F 0.0451 0.8060 0.2301
F 0.0622 0.7332 0.9959
F 0.0691 0.3298 0.0126
F 0.0984 0.8366 0.7562
F 0.1634 0.2562 0.4016
F 0.1702 0.9874 0.5691
F 0.1940 0.7301 0.4549
F 0.2301 0.0451 0.8060
F 0.2332 0.5041 0.9378
F 0.2438 0.5984 0.6634
F 0.2562 0.4016 0.1634
F 0.2668 0.4959 0.4378
F 0.2699 0.9549 0.3060
F 0.3060 0.2699 0.9549
F 0.3298 0.0126 0.0691
F 0.3366 0.7438 0.9016
F 0.4016 0.1634 0.2562
F 0.4309 0.6702 0.5126
F 0.4378 0.2668 0.4959
F 0.4549 0.1940 0.7301
F 0.4874 0.9309 0.8298
F 0.4959 0.4378 0.2668
F 0.5041 0.9378 0.2332
F 0.5126 0.4309 0.6702
F 0.5451 0.6940 0.7699
F 0.5622 0.7668 0.0041
F 0.5691 0.1702 0.9874
F 0.5984 0.6634 0.2438
F 0.6634 0.2438 0.5984
F 0.6702 0.5126 0.4309
F 0.6940 0.7699 0.5451
F 0.7301 0.4549 0.1940
F 0.7332 0.9959 0.0622
F 0.7438 0.9016 0.3366
F 0.7562 0.0984 0.8366
F 0.7668 0.0041 0.5622
F 0.7699 0.5451 0.6940
F 0.8060 0.2301 0.0451
F 0.8298 0.4874 0.9309
F 0.8366 0.7562 0.0984
F 0.9016 0.3366 0.7438
F 0.9309 0.8298 0.4874
F 0.9378 0.2332 0.5041
F 0.9549 0.3060 0.2699
F 0.9874 0.5691 0.1702
F 0.9959 0.0622 0.7332

Output
E_form, eV per atom: -2.9487
Energy with MP2020 corrections, eV/atom: -5.130

---

Record 2
First-principles (PBE) data for an optimized crystal structure of MgSn3, as listed in the Materials Project database.

Lattice parameters (Å, degrees): 6.6031 6.6031 5.5541 90.00 90.00 120.00
Element x y z (fractional)
Mg 0.3333 0.6667 0.2500
Mg 0.6667 0.3333 0.7500
Sn 0.1682 0.3363 0.7500
Sn 0.1682 0.8318 0.7500
Sn 0.3363 0.1682 0.2500
Sn 0.6637 0.8318 0.7500
Sn 0.8318 0.1682 0.2500
Sn 0.8318 0.6637 0.2500

Output
E_form, eV per atom: -0.0151

---

> Which value of E_form does entry 1 give?

-2.9487 eV per atom

---

> E_form of number 1 (Be3Tl2Zn2F12)?

-2.9487 eV per atom